Entry 1:
# Li4CaNiO4

A relaxed Li4CaNiO4 crystal (PBE+U, Materials Project).

Results
Corrected total energy (MP2020 scheme): -5.58 eV per atom
ρ: 3.03 g/cm³
M_tot: 16.0 Bohr magnetons per cell

abc: 5.0079 9.2762 18.0107
angles: 90.00 90.00 90.00
With the nearest neighbours (Å) after each atom.
Positions (direct):
O: 0.2416 0.6239 0.5195  1 Li 1.98, 1 Ni 2.03
O: 0.1549 0.1318 0.7791  5 Li 1.90-2.01, 1 Ni 2.00
O: 0.8239 0.0332 0.3672  3 Li 1.90-2.04, 1 Ni 1.99
O: 0.8451 0.3682 0.2791  5 Li 1.90-2.01, 1 Ni 2.00
O: 0.3451 0.6318 0.2209  5 Li 1.90-2.01, 1 Ni 2.00
O: 0.7416 0.8761 0.5195  1 Li 1.98, 1 Ni 2.03
O: 0.2584 0.6239 0.0195  1 Li 1.98, 1 Ni 2.03
O: 0.8451 0.8682 0.2209  5 Li 1.90-2.01, 1 Ni 2.00
O: 0.2584 0.1239 0.4805  1 Li 1.98, 1 Ni 2.03
O: 0.7416 0.3761 0.9805  1 Li 1.98, 1 Ni 2.03
O: 0.1694 0.8411 0.8741  4 Li 1.92-2.05, 1 Ni 2.01
O: 0.8239 0.5332 0.1328  3 Li 1.90-2.04, 1 Ni 1.99
O: 0.3306 0.8411 0.3741  4 Li 1.92-2.05, 1 Ni 2.01
O: 0.7584 0.3761 0.4805  1 Li 1.98, 1 Ni 2.03
O: 0.8306 0.1589 0.1259  4 Li 1.92-2.05, 1 Ni 2.01
O: 0.3451 0.1318 0.2791  5 Li 1.90-2.01, 1 Ni 2.00
O: 0.6761 0.5332 0.6328  3 Li 1.90-2.04, 1 Ni 1.99
O: 0.6694 0.1589 0.6259  4 Li 1.92-2.05, 1 Ni 2.01
O: 0.1694 0.3411 0.6259  4 Li 1.92-2.05, 1 Ni 2.01
O: 0.6694 0.6589 0.8741  4 Li 1.92-2.05, 1 Ni 2.01
O: 0.6549 0.8682 0.7209  5 Li 1.90-2.01, 1 Ni 2.00
O: 0.2416 0.1239 0.9805  1 Li 1.98, 1 Ni 2.03
O: 0.8306 0.6589 0.3741  4 Li 1.92-2.05, 1 Ni 2.01
O: 0.3239 0.4668 0.3672  3 Li 1.90-2.04, 1 Ni 1.99
O: 0.1761 0.4668 0.8672  3 Li 1.90-2.04, 1 Ni 1.99
O: 0.1549 0.6318 0.7209  5 Li 1.90-2.01, 1 Ni 2.00
O: 0.3306 0.3411 0.1259  4 Li 1.92-2.05, 1 Ni 2.01
O: 0.6549 0.3682 0.7791  5 Li 1.90-2.01, 1 Ni 2.00
O: 0.6761 0.0332 0.8672  3 Li 1.90-2.04, 1 Ni 1.99
O: 0.3239 0.9668 0.1328  3 Li 1.90-2.04, 1 Ni 1.99
O: 0.7584 0.8761 0.0195  1 Li 1.98, 1 Ni 2.03
O: 0.1761 0.9668 0.6328  3 Li 1.90-2.04, 1 Ni 1.99
Ni: 0.2184 0.0491 0.3753  4 O 1.99-2.03
Ni: 0.7816 0.9509 0.6247  4 O 1.99-2.03
Ni: 0.2816 0.0491 0.8753  4 O 1.99-2.03
Ni: 0.7184 0.4509 0.3753  4 O 1.99-2.03
Ni: 0.7816 0.4509 0.8753  4 O 1.99-2.03
Ni: 0.2184 0.5491 0.1247  4 O 1.99-2.03
Ni: 0.2816 0.5491 0.6247  4 O 1.99-2.03
Ni: 0.7184 0.9509 0.1247  4 O 1.99-2.03
Ca: 0.2588 0.8767 0.0152  5 O 2.30-2.51
Ca: 0.2412 0.8767 0.5152  5 O 2.30-2.51
Ca: 0.7412 0.6233 0.5152  5 O 2.30-2.51
Ca: 0.7588 0.1233 0.4848  5 O 2.30-2.51
Ca: 0.2412 0.3767 0.9848  5 O 2.30-2.51
Ca: 0.7588 0.6233 0.0152  5 O 2.30-2.51
Ca: 0.2588 0.3767 0.4848  5 O 2.30-2.51
Ca: 0.7412 0.1233 0.9848  5 O 2.30-2.51
Li: 0.3107 0.8067 0.6874  3 O 1.90-1.91
Li: 0.0758 0.0443 0.2133  3 O 1.97-2.04
Li: 0.8107 0.6933 0.6874  3 O 1.90-1.91
Li: 0.3107 0.3067 0.8126  3 O 1.90-1.91
Li: 0.9965 0.8251 0.3190  3 O 1.95-2.01
Li: 0.5035 0.8251 0.8190  3 O 1.95-2.01
Li: 0.8112 0.3533 0.5890  4 O 1.92-2.05
Li: 0.5758 0.4557 0.2133  3 O 1.97-2.04
Li: 0.1888 0.6467 0.4110  4 O 1.92-2.05
Li: 0.1893 0.8067 0.1874  3 O 1.90-1.91
Li: 0.0035 0.1749 0.6810  3 O 1.95-2.01
Li: 0.0035 0.6749 0.8190  3 O 1.95-2.01
Li: 0.4242 0.0443 0.7133  3 O 1.97-2.04
Li: 0.6893 0.1933 0.3126  3 O 1.90-1.91
Li: 0.6888 0.3533 0.0890  4 O 1.92-2.05
Li: 0.4242 0.5443 0.7867  3 O 1.97-2.04
Li: 0.3112 0.1467 0.5890  4 O 1.92-2.05
Li: 0.6888 0.8533 0.4110  4 O 1.92-2.05
Li: 0.1893 0.3067 0.3126  3 O 1.90-1.91
Li: 0.1888 0.1467 0.0890  4 O 1.92-2.05
Li: 0.5758 0.9557 0.2867  3 O 1.97-2.04
Li: 0.8107 0.1933 0.8126  3 O 1.90-1.91
Li: 0.9965 0.3251 0.1810  3 O 1.95-2.01
Li: 0.5035 0.3251 0.6810  3 O 1.95-2.01
Li: 0.9242 0.9557 0.7867  3 O 1.97-2.04
Li: 0.4965 0.6749 0.3190  3 O 1.95-2.01
Li: 0.4965 0.1749 0.1810  3 O 1.95-2.01
Li: 0.6893 0.6933 0.1874  3 O 1.90-1.91
Li: 0.9242 0.4557 0.7133  3 O 1.97-2.04
Li: 0.3112 0.6467 0.9110  4 O 1.92-2.05
Li: 0.8112 0.8533 0.9110  4 O 1.92-2.05
Li: 0.0758 0.5443 0.2867  3 O 1.97-2.04


Entry 2:
# Li2CaV12O32

A relaxed Li2CaV12O32 crystal (PBE+U, Materials Project).

Results
Corrected total energy (MP2020 scheme): -8.20 eV per atom
ρ: 3.25 g/cm³
M_tot: 0.0 Bohr magnetons per cell

abc: 7.9654 7.9654 12.2750
angles: 74.39 74.39 54.23
With the nearest neighbours (Å) after each atom.
Positions (direct):
O: 0.3687 0.3687 0.8257  3 V 1.91-2.12
O: 0.5763 0.5763 0.8092  1 V 1.66
O: 0.1903 0.1903 0.5535  1 V 1.65
O: 0.9034 0.9034 0.5451  3 V 1.91-2.03
O: 0.0929 0.5932 0.4626  3 V 1.90-2.03
O: 0.1299 0.6284 0.1714  3 V 1.90-2.12
O: 0.7174 0.2162 0.6785  1 V 1.75
O: 0.2889 0.2889 0.3250  1 V 1.77
O: 0.8150 0.8150 0.0727  2 V 1.90
O: 0.2954 0.8221 0.4508  1 V 1.64
O: 0.4909 0.9883 0.9499  2 V 1.78-1.87
O: 0.8221 0.2954 0.4508  1 V 1.64
O: 0.1823 0.6823 0.9267  2 V 1.90
O: 0.5932 0.0929 0.4626  3 V 1.90-2.03
O: 0.4873 0.4873 0.2698  1 V 1.62
O: 0.9802 0.9802 0.2737  1 V 1.64
O: 0.0779 0.0779 0.8119  1 V 1.65
O: 0.6883 0.6883 0.5573  1 V 1.64
O: 0.2162 0.7174 0.6785  1 V 1.75
O: 0.6823 0.1823 0.9267  2 V 1.90
O: 0.9883 0.4909 0.9499  2 V 1.78-1.87
O: 0.3194 0.3194 0.0657  2 V 1.90
O: 0.7853 0.7853 0.3252  1 V 1.75
O: 0.5145 0.0156 0.7243  1 V 1.64
O: 0.0156 0.5145 0.7243  1 V 1.64
O: 0.5116 0.5116 0.0435  2 V 1.78-1.88
O: 0.4083 0.4083 0.5416  3 V 1.91-2.00
O: 0.0072 0.0072 0.0469  2 V 1.76-1.93
O: 0.6284 0.1299 0.1714  3 V 1.90-2.12
O: 0.9379 0.4065 0.1803  1 V 1.64
O: 0.4065 0.9379 0.1803  1 V 1.64
O: 0.8690 0.8690 0.8258  2 V 1.90
V: 0.4166 0.4166 0.1882  1 O 1.62
V: 0.1966 0.6993 0.5438  2 O 1.64-1.75
V: 0.0858 0.5866 0.8076  1 O 1.64
V: 0.5866 0.0858 0.8076  1 O 1.64
V: 0.9742 0.9742 0.9198  2 O 1.65-1.76
V: 0.5254 0.0277 0.0763  2 O 1.64-1.78
V: 0.0277 0.5254 0.0763  2 O 1.64-1.78
V: 0.7986 0.7986 0.4627  2 O 1.64-1.75
V: 0.6993 0.1966 0.5438  2 O 1.64-1.75
V: 0.4733 0.4733 0.9182  2 O 1.66-1.78
V: 0.9060 0.9060 0.1935  1 O 1.64
V: 0.3030 0.3030 0.4633  2 O 1.65-1.77
Li: 0.3715 0.8657 0.6961  5 O 2.21-2.47
Li: 0.8657 0.3715 0.6961  5 O 2.21-2.47
Ca: 0.1271 0.1271 0.3200  6 O 2.31-2.36


Entry 3:
# CaLuMn2O6

A relaxed CaLuMn2O6 crystal (PBE+U, Materials Project).

Results
Corrected total energy (MP2020 scheme): -8.25 eV per atom
ρ: 6.30 g/cm³
M_tot: 14.0 Bohr magnetons per cell
Relative energy among the computed polymorphs: 0 meV per atom

abc: 5.2937 5.5387 7.5633
angles: 90.00 90.00 90.00
With the nearest neighbours (Å) after each atom.
Positions (direct):
O: 0.8600 0.4627 0.0000  2 Mn 1.99
O: 0.3370 0.0290 0.5000  2 Mn 1.95
O: 0.5473 0.7990 0.1859  2 Mn 2.01-2.03
O: 0.4527 0.2990 0.8141  2 Mn 2.01-2.03
O: 0.0595 0.6945 0.2855  2 Mn 1.95-1.99
O: 0.5473 0.7990 0.8141  2 Mn 2.01-2.03
O: 0.6630 0.5290 0.5000  2 Mn 1.95
O: 0.9405 0.1945 0.2855  2 Mn 1.95-1.99
O: 0.9405 0.1945 0.7145  2 Mn 1.95-1.99
O: 0.4527 0.2990 0.1859  2 Mn 2.01-2.03
O: 0.1400 0.9627 0.0000  2 Mn 1.99
O: 0.0595 0.6945 0.7145  2 Mn 1.95-1.99
Lu: 0.7347 0.0715 0.0000  6 O 2.23-2.41
Lu: 0.2653 0.5715 0.0000  6 O 2.23-2.41
Mn: 0.2461 0.0025 0.7496  6 O 1.95-2.03
Mn: 0.7539 0.5025 0.7496  6 O 1.95-2.03
Mn: 0.7539 0.5025 0.2504  6 O 1.95-2.03
Mn: 0.2461 0.0025 0.2504  6 O 1.95-2.03
Ca: 0.7640 0.9448 0.5000  4 O 2.31-2.36
Ca: 0.2360 0.4448 0.5000  4 O 2.31-2.36